(1)
Entry from the Materials Project: a relaxed structure of LiTi2S4 (PBE-GGA).

```
14
Lattice="-1.5866 -1.5624 6.8362 -6.5512 -2.4207 1.7071 -0.8923 -6.8453 2.0092" Properties=species:S:1:pos:R:3 pbc="T T T"
S -7.8241 -9.3823 9.1431
Ti -2.3682 -5.5574 5.7417
S -3.8791 -7.3418 4.9832
S -3.4634 -4.1532 4.0473
S -4.2025 -4.8810 7.2317
Ti -4.8505 -5.9866 3.1772
Ti -5.1976 -3.3451 5.5907
S -7.4084 -6.1937 8.2073
S -7.0850 -8.6545 5.9588
S -4.7725 -8.2547 8.3480
Ti -5.6438 -6.7678 6.5952
Li -2.2575 -2.7071 2.6381
S -6.5150 -5.2808 4.8425
Li 0.0000 0.0000 0.0000
```

## Properties
**Space-group type**: Fd-3m
**Energy relative to the elements**: -1.6359 eV per atom
**Relative energy among the computed polymorphs**: 0.043 eV/atom
**Spin magnetization**: 0.02 Bohr magnetons per cell
**V**: 262.8 Å³/cell



(2)
Entry from the Materials Project: a relaxed structure of Li4TiS4 (PBE-GGA).

```
36
Lattice="-0.1180 -3.6960 -4.9765 1.1157 -6.2470 4.6132 -14.1632 -1.4734 1.4300" Properties=species:S:1:pos:R:3 pbc="T T T"
Li -9.0652 -4.8446 2.3013
S -1.2004 -9.0718 1.2246
S -12.8092 -5.8200 -1.4477
S -8.2897 -10.0495 1.6152
Li -1.9964 -4.5092 1.0459
Li -10.6116 -10.0289 2.3261
S -0.3563 -5.5965 2.5145
Li -4.1003 -6.5718 -1.2345
S -5.7190 -4.8147 -1.8012
Li -0.0590 -1.8480 -2.4882
S -4.8758 -1.3670 -0.5484
Ti -0.5168 -7.9495 -0.6330
Li -1.0586 -4.9011 -3.0452
Li -11.1691 -6.9072 0.0209
S -4.3386 -4.3748 1.6728
S -5.4327 -8.1525 0.2809
Li -7.0816 -0.7367 0.7150
Li -6.5238 -3.8602 3.0216
S -0.6545 -2.6320 -0.0703
S -1.7376 -6.0639 -0.9966
Ti -12.6487 -3.4670 1.6998
Ti -5.5902 -3.4538 0.0105
Ti -7.5753 -7.9626 1.0562
Li -12.1069 -6.5154 4.1120
Li -3.5428 -9.6935 1.0708
Li -5.0533 -6.6563 2.2152
S -11.9651 -2.3447 -0.1579
S -11.4279 -5.3525 2.0633
Li -9.6227 -1.7229 -0.0040
S -12.5110 -8.7844 1.1371
S -8.8269 -7.0416 -0.6060
Li 0.4989 -4.9715 -0.1816
S -7.4465 -6.6017 2.8679
Li -2.5539 -1.3875 -1.2594
S -7.7328 -3.2639 0.7859
Li -8.1122 -4.7601 -1.1485
```

## Properties
**Space-group type**: Pnma
**Energy relative to the elements**: -1.5476 eV per atom
**Relative energy among the computed polymorphs**: 0.000 eV/atom
**V**: 696.1 Å³/cell



(3)
Entry from the Materials Project: a relaxed structure of Li8TiS6 (PBE-GGA).

```
60
Lattice="7.1001 0.0000 0.0000 0.0000 10.2603 0.0000 0.0000 0.0000 14.7006" Properties=species:S:1:pos:R:3 pbc="T T T"
Ti 1.9300 0.1330 5.5210
Ti 5.4801 5.2632 1.8293
Li 6.5096 1.9083 10.7446
S 5.2469 6.4892 3.7239
S 5.4033 6.4892 11.0742
S 5.3081 2.6651 12.8951
Li 6.6453 0.0816 3.5827
Li 6.6310 8.5371 1.1106
Li 1.5659 5.4314 8.2242
S 1.5468 1.4790 14.6884
Ti 1.6200 0.1330 12.8714
S 1.4886 5.1718 5.6020
S 1.7580 7.7953 9.1558
S 3.4165 9.0044 12.8519
S 5.5534 6.6092 0.0122
Li 3.8528 8.4281 3.1605
S 0.2378 4.0294 1.8609
Li 7.0187 8.0141 7.6427
Li 3.2473 3.2979 11.5401
Li 4.0049 0.0816 10.9330
Li 0.4548 5.2118 11.1179
Li 4.0192 8.5371 8.4609
S 1.8532 1.3590 10.9768
S 5.6115 0.0416 9.0986
S 1.7920 7.7953 1.8055
Li 0.7195 7.1063 13.7134
Li 2.8306 7.1063 6.3631
S 1.6968 1.3590 3.6265
Li 0.4691 3.4069 13.5901
Li 4.2696 1.9761 8.3376
Li 6.7974 8.4281 10.5108
S 5.0387 0.0416 1.7483
Li 5.5342 0.3012 6.4764
Li 3.6315 8.0141 0.2924
Li 6.3806 1.9761 0.9873
S 3.7879 9.1596 5.4894
Li 3.0952 5.2118 3.7676
Li 0.0814 2.8839 7.0579
S 3.6836 3.8742 1.8488
S 2.0033 1.4790 7.3381
Li 3.4686 2.8839 14.4082
Li 4.1406 1.9083 3.3943
Li 2.4053 0.0059 1.6945
Li 3.0809 3.4069 6.2397
Li 0.3027 3.2979 4.1898
Li 0.5905 7.0384 3.9561
S 5.3421 2.6651 5.5448
S 3.3122 4.0294 9.2112
S 6.8623 9.1596 12.8397
S 2.0615 5.1718 12.9524
Ti 5.1701 5.2632 9.1796
Li 1.1448 0.0059 9.0448
Li 1.9841 5.4314 0.8739
S 5.0968 6.6092 7.3625
S 6.9665 3.8742 9.1991
Li 2.9595 7.0384 11.3064
Li 5.9553 5.1360 5.6559
Li 5.1160 0.3012 13.8268
Li 4.6948 5.1360 13.0062
S 0.1336 9.0044 5.5015
```

## Properties
**Space-group type**: Pna2_1
**Energy relative to the elements**: -1.4667 eV per atom
**Relative energy among the computed polymorphs**: 0.060 eV/atom
**Spin magnetization**: 0.01 Bohr magnetons per cell
**V**: 1070.9 Å³/cell



(4)
Entry from the Materials Project: a relaxed structure of Li4TiS4 (PBE-GGA).

```
9
Lattice="1.5739 -6.1569 2.6696 -5.6815 -2.1674 3.2457 0.7639 2.3201 -6.4456" Properties=species:S:1:pos:R:3 pbc="T T T"
Ti 0.0000 0.0000 0.0000
Li 1.1689 -1.9184 -1.8880
S 0.4499 -4.2790 2.0935
S -1.0625 -1.8100 -0.8466
Li -2.9790 -6.0371 4.2900
S -3.2591 -6.1761 1.7247
S -3.5795 -2.0634 2.4135
Li -1.1286 -2.2872 1.6253
Li -2.4588 0.0764 -1.5999
```

## Properties
**Maximum piezoelectric response**: 0.112 C/m²
**Space-group type**: I-42m
**Energy relative to the elements**: -1.5446 eV per atom
**Relative energy among the computed polymorphs**: 0.003 eV/atom
**V**: 189.6 Å³/cell



(5)
Entry from the Materials Project: a relaxed structure of Li8TiS6 (PBE-GGA).

```
15
Lattice="0.4553 6.1206 3.8242 -4.9354 2.2262 4.7938 1.0613 0.3102 7.1464" Properties=species:S:1:pos:R:3 pbc="T T T"
Li -1.9248 5.8359 6.0058
Li -2.2515 5.7012 10.3818
S 0.0869 4.6143 10.0235
Li -3.2526 2.4988 7.5504
S -3.5057 4.0428 5.7409
S -1.0147 1.6197 7.6117
Li -1.4940 2.8211 9.7586
S -2.4041 7.0373 8.1526
Li -0.1661 6.1582 8.2139
S -3.7317 3.6656 9.7163
Li 0.5325 3.4269 7.8616
Li -1.1673 2.9558 5.3825
Ti 0.0000 0.0000 0.0000
S 0.3129 4.9914 6.0481
Li -3.9513 5.2301 7.9027
```

## Properties
**Space-group type**: R-3
**Energy relative to the elements**: -1.4924 eV per atom
**Relative energy among the computed polymorphs**: 0.034 eV/atom
**Spin magnetization**: 0.01 Bohr magnetons per cell
**V**: 238.7 Å³/cell



(6)
Entry from the Materials Project: a relaxed structure of Li8TiS6 (PBE-GGA).

```
30
Lattice="3.4475 -5.9712 0.0000 3.4475 5.9712 0.0000 0.0000 0.0000 13.4621" Properties=species:S:1:pos:R:3 pbc="T T T"
Ti 0.0000 0.0000 13.4351
S 1.0839 1.8774 6.0596
S 4.7271 0.0000 6.0596
Ti 0.0000 0.0000 6.7041
S 3.4475 -1.9904 2.9257
S 0.0000 0.0000 9.0112
Li 2.3549 4.0788 10.3130
Li 3.4475 1.9904 12.1359
S 2.3635 -4.0938 12.7906
S 2.3635 4.0938 12.7906
Li 2.1852 0.0000 10.3130
Li 2.1365 -3.7005 1.7593
S 2.1679 0.0000 12.7906
Li 2.6221 0.0000 1.7593
Li 1.0926 -1.8924 3.5820
S 0.0000 0.0000 2.2802
Li 2.3549 -4.0788 10.3130
S 3.4475 -1.9904 9.6567
Li 2.1365 3.7005 1.7593
Li 3.4475 -1.9904 5.4048
Li 1.0926 1.8924 3.5820
S 3.4475 1.9904 2.9257
Li 1.3110 2.2708 8.4903
Li 4.2729 0.0000 8.4903
Li 1.3110 -2.2708 8.4903
Li 4.7098 0.0000 3.5820
Li 3.4475 -1.9904 12.1359
S 1.0839 -1.8774 6.0596
Li 3.4475 1.9904 5.4048
S 3.4475 1.9904 9.6567
```

## Properties
**Space-group type**: P6_3cm
**Energy relative to the elements**: -1.5266 eV per atom
**Relative energy among the computed polymorphs**: 0.000 eV/atom
**V**: 554.3 Å³/cell